No. 1
Computed, not measured: crystalline C at its relaxed geometry at the meta-GGA r2SCAN level of DFT.

Unit cell a=2.513 b=2.513 c=12.392 alpha=90.00 beta=90.00 gamma=120.00
Fractional positions:
C1 0.667 0.333 0.355
C2 0.333 0.667 0.855
C3 0.667 0.333 0.021
C4 0.333 0.667 0.645
C5 0.333 0.667 0.979
C6 0.000 0.000 0.687
C7 0.667 0.333 0.479
C8 0.333 0.667 0.521
C9 0.000 0.000 0.313
C10 0.667 0.333 0.145
C11 0.000 0.000 0.813
C12 0.000 0.000 0.187

Output
The total magnetic moment is 0.00 μB per cell. Its space group is P6_3/mmc (194). The value obtained for the raw total energy is -117.94 eV/cell.



No. 2
Computed, not measured: crystalline C at its relaxed geometry at the meta-GGA r2SCAN level of DFT.

Unit cell a=2.457 b=2.457 c=3.695 alpha=74.18 beta=74.18 gamma=59.99
Fractional positions:
C1 0.833 0.833 0.000
C2 0.167 0.167 0.000

Output
The total magnetic moment is 0.00 μB per cell. Its space group is C2/m (12). The value obtained for the raw total energy is -19.89 eV/cell.



No. 3
Computed, not measured: crystalline C at its relaxed geometry at the meta-GGA r2SCAN level of DFT.

Unit cell a=11.154 b=11.154 c=11.154 alpha=12.64 beta=12.64 gamma=12.64
Fractional positions:
C1 0.949 0.949 0.949
C2 0.282 0.282 0.282
C3 0.718 0.718 0.718
C4 0.051 0.051 0.051

Output
The total magnetic moment is 0.00 μB per cell. Its space group is R-3m (166). The value obtained for the raw total energy is -39.75 eV/cell.



No. 4
Computed, not measured: crystalline C at its relaxed geometry at the meta-GGA r2SCAN level of DFT.

Unit cell a=4.407 b=4.407 c=4.254 alpha=90.00 beta=90.00 gamma=112.27
Fractional positions:
C1 0.250 0.250 0.167
C2 0.500 0.500 0.667
C3 0.750 0.750 0.167
C4 0.250 0.250 0.833
C5 0.750 0.750 0.833
C6 0.000 0.000 0.667
C7 0.500 0.500 0.333
C8 0.000 0.000 0.333

Output
The total magnetic moment is 0.00 μB per cell. The value obtained for the raw total energy is -79.52 eV/cell.



No. 5
Computed, not measured: crystalline C at its relaxed geometry at the meta-GGA r2SCAN level of DFT.

Unit cell a=2.456 b=2.456 c=3.765 alpha=71.50 beta=71.50 gamma=60.00
Fractional positions:
C1 0.833 0.833 0.000
C2 0.167 0.167 0.000

Output
The total magnetic moment is 0.00 μB per cell. Its space group is C2/m (12). The value obtained for the raw total energy is -19.89 eV/cell.



No. 6
Computed, not measured: crystalline C at its relaxed geometry at the meta-GGA r2SCAN level of DFT.

Unit cell a=2.510 b=2.510 c=8.280 alpha=90.00 beta=90.00 gamma=120.00
Fractional positions:
C1 0.000 0.000 0.593
C2 0.333 0.667 0.344
C3 0.000 0.000 0.407
C4 0.667 0.333 0.656
C5 0.000 0.000 0.907
C6 0.333 0.667 0.156
C7 0.000 0.000 0.093
C8 0.667 0.333 0.844

Output
The total magnetic moment is 0.00 μB per cell. Its space group is P6_3/mmc (194). The value obtained for the raw total energy is -78.60 eV/cell.



No. 7
Computed, not measured: crystalline C at its relaxed geometry at the meta-GGA r2SCAN level of DFT.

Unit cell a=2.456 b=2.456 c=24.134 alpha=90.03 beta=89.97 gamma=120.00
Fractional positions:
C1 0.001 0.999 0.515
C2 0.999 0.001 0.656
C3 0.666 0.334 0.656
C4 0.334 0.666 0.515

Output
The total magnetic moment is 0.00 μB per cell. Its space group is P-3m1 (164). The value obtained for the raw total energy is -39.75 eV/cell.



No. 8
Computed, not measured: crystalline C at its relaxed geometry at the meta-GGA r2SCAN level of DFT.

Unit cell a=2.467 b=2.467 c=7.803 alpha=90.00 beta=90.00 gamma=120.00
Fractional positions:
C1 0.000 0.000 0.250
C2 0.000 0.000 0.750
C3 0.333 0.667 0.250
C4 0.667 0.333 0.750

Output
The total magnetic moment is 0.00 μB per cell. Its space group is P6_3/mmc (194). The value obtained for the raw total energy is -39.78 eV/cell.